DyPt: relaxed, PBE-GGA.

The total energy is -0.4866 Ry per atom. The crystal system is orthorhombic.

The space group is Pnma (No. 62) and the conventional cell measures 7.040, 4.556 and 5.572 Å, with angles of 90.00, 90.00 and 90.00 degrees. The distinct sites, in fractional coordinates, are Dy at (0.181, 0.250, 0.138) and Pt at (0.045, 0.250, 0.652).

=====

Si: relaxed, PBE-GGA.

As for the excess energy over the best structure of this formula in the dataset: 13 meV per atom. The total energy is -0.3978 Ry per atom. The crystal system is hexagonal.

The space group is P6_3/mmc (No. 194) and the conventional cell measures 3.8505, 3.8505 and 6.3657 Å, with angles of 90.00, 90.00 and 120.00 degrees. The distinct sites, in fractional coordinates, are Si at (0.3333, 0.6667, 0.0630).

=====

La12Au3I13: relaxed, PBE-GGA.

For the corrected total energy (MP2020 scheme), the calculation gives -4.531 eV per atom. The total energy is -0.3201 Ry per atom. The crystal system is trigonal.

The space group is R32 (No. 155, hexagonal axes) and the conventional cell measures 18.1572, 18.1572 and 11.0467 Å, with angles of 90.00, 90.00 and 120.00 degrees. The distinct sites, in fractional coordinates, are La at (0.0000, 0.2630, 0.0000), La at (0.0000, 0.4844, 0.0000), La at (0.0773, 0.1656, 0.6531), Au at (0.0000, 0.2504, 0.5000), I at (0.0000, 0.0000, 0.5000), I at (0.0000, 0.5101, 0.5000), I at (0.0000, 0.7404, 0.5000) and I at (0.0764, 0.9134, 0.1545).

=====

Ba3LiTi3O8: relaxed, PBE-GGA.

As for the excess energy over the best structure of this formula in the dataset: 56 meV per atom. For the corrected total energy (MP2020 scheme), the calculation gives -7.725 eV per atom. The total energy is -0.5408 Ry per atom. The crystal system is triclinic.

The space group is P-1 (No. 2) and the conventional cell measures 5.761, 5.796 and 7.146 Å, with angles of 87.86, 88.60 and 61.29 degrees. The distinct sites, in fractional coordinates, are Ba at (0.000, 0.000, 0.000), Ba at (0.295, 0.391, 0.701), Li at (0.500, 0.000, 0.500), Ti at (0.000, 0.000, 0.500), Ti at (0.361, 0.317, 0.183), O at (0.172, 0.650, 0.329), O at (0.183, 0.154, 0.335), O at (0.328, 0.849, 0.662), O at (0.500, 0.000, 0.000) and O at (0.500, 0.500, 0.000).

=====

Per-record formation energy from the elements, eV/atom: -1.2819, 0.0134, -1.3570, -2.9955